A plane-wave DFT calculation with GGA-PBE was carried out for an optimized crystal structure of PrCd3P3.

It has space group P6_3/mmc (No. 194), with a = 4.3245 Å, b = 4.3245 Å, c = 21.2499 Å, α = 90.00°, β = 90.00° and γ = 120.00°. The asymmetric unit holds Pr at (0.0000, 0.0000, 0.0000), Cd at (0.3333, 0.6667, 0.1265), Cd at (0.3333, 0.6667, 0.7500), P at (0.3333, 0.6667, 0.2500) and P at (0.3333, 0.6667, 0.5777).

Its volume is 24.6 Å³ per atom. As for the crystal system: hexagonal. As for the formation energy: -0.47 eV/atom.